1.
! Na2CaLaPS2O12 | the Materials Project | PBE | optimized geometry; values from VASP
! - Theoretical density: 2.69 g cm⁻³
! - Space group: No. 9
! - ΔE_f: -2693 meV/atom
&SYSTEM
  ibrav = 0, nat = 114, ntyp = 6
/
ATOMIC_SPECIES
Na 22.99 Na.upf
Ca 40.08 Ca.upf
La 138.91 La.upf
P 30.97 P.upf
S 32.06 S.upf
O 16.00 O.upf
ATOMIC_POSITIONS crystal
Na 0.005 0.642 0.242
Na 0.637 0.642 0.742
Na 0.657 0.954 0.578
Na 0.297 0.954 0.078
Na 0.690 0.027 0.910
Na 0.337 0.027 0.410
Na 0.974 0.986 0.493
Na 0.013 0.986 0.993
Na 0.655 0.307 0.826
Na 0.652 0.307 0.326
Na 0.328 0.658 0.160
Na 0.330 0.658 0.660
Ca 0.992 0.005 0.349
Ca 0.014 0.005 0.849
Ca 0.666 0.328 0.682
Ca 0.661 0.328 0.182
Ca 0.320 0.659 0.015
Ca 0.339 0.659 0.515
La 0.001 0.999 0.651
La 0.998 0.999 0.151
La 0.676 0.352 0.985
La 0.676 0.352 0.485
La 0.351 0.679 0.317
La 0.328 0.679 0.817
P 0.299 0.002 0.253
P 0.703 0.002 0.753
P 0.660 0.637 0.588
P 0.977 0.637 0.088
P 0.334 0.972 0.922
P 0.637 0.972 0.422
S 0.706 0.695 0.251
S 0.994 0.304 0.251
S 0.309 0.304 0.751
S 0.989 0.695 0.751
S 0.967 0.338 0.585
S 0.371 0.030 0.582
S 0.659 0.030 0.082
S 0.370 0.338 0.085
S 0.634 0.677 0.916
S 0.031 0.357 0.917
S 0.326 0.357 0.417
S 0.043 0.677 0.416
O 0.213 0.013 0.304
O 0.802 0.782 0.299
O 0.981 0.206 0.299
O 0.226 0.206 0.799
O 0.980 0.782 0.799
O 0.800 0.013 0.804
O 0.789 0.982 0.700
O 0.216 0.225 0.700
O 0.013 0.793 0.701
O 0.780 0.793 0.201
O 0.009 0.225 0.200
O 0.193 0.982 0.200
O 0.885 0.352 0.633
O 0.476 0.119 0.629
O 0.653 0.546 0.641
O 0.893 0.546 0.141
O 0.643 0.119 0.129
O 0.466 0.352 0.133
O 0.448 0.315 0.035
O 0.872 0.547 0.037
O 0.678 0.123 0.030
O 0.445 0.123 0.530
O 0.675 0.547 0.537
O 0.867 0.315 0.535
O 0.543 0.686 0.963
O 0.127 0.441 0.966
O 0.320 0.875 0.975
O 0.555 0.875 0.475
O 0.314 0.441 0.466
O 0.142 0.686 0.463
O 0.115 0.656 0.364
O 0.524 0.881 0.371
O 0.342 0.453 0.367
O 0.111 0.453 0.867
O 0.357 0.881 0.871
O 0.541 0.656 0.864
O 0.038 0.833 0.413
O 0.807 0.992 0.415
O 0.182 0.189 0.414
O 0.007 0.189 0.914
O 0.185 0.992 0.915
O 0.795 0.833 0.913
O 0.976 0.183 0.587
O 0.206 0.010 0.587
O 0.814 0.817 0.587
O 0.002 0.817 0.087
O 0.804 0.010 0.087
O 0.206 0.183 0.087
O 0.678 0.151 0.747
O 0.477 0.327 0.748
O 0.833 0.535 0.747
O 0.702 0.535 0.247
O 0.850 0.327 0.248
O 0.473 0.151 0.247
O 0.660 0.534 0.919
O 0.863 0.337 0.920
O 0.501 0.140 0.922
O 0.640 0.140 0.422
O 0.474 0.337 0.420
O 0.874 0.534 0.419
O 0.350 0.483 0.079
O 0.151 0.661 0.084
O 0.506 0.867 0.079
O 0.360 0.867 0.579
O 0.509 0.661 0.584
O 0.132 0.483 0.579
O 0.301 0.835 0.254
O 0.537 0.667 0.254
O 0.143 0.473 0.254
O 0.330 0.473 0.754
O 0.130 0.667 0.754
O 0.534 0.835 0.754
CELL_PARAMETERS angstrom
9.494 0.000 0.000
-4.747 8.154 0.011
0.000 0.035 24.504

2.
! Na3CaLaP2SO12 | the Materials Project | PBE | optimized geometry; values from VASP
! - Theoretical density: 2.84 g cm⁻³
! - ΔE_f: -2827 meV/atom
&SYSTEM
  ibrav = 0, nat = 120, ntyp = 6
/
ATOMIC_SPECIES
Na 22.99 Na.upf
Ca 40.08 Ca.upf
La 138.91 La.upf
P 30.97 P.upf
S 32.06 S.upf
O 16.00 O.upf
ATOMIC_POSITIONS crystal
Na 0.353 0.345 0.245
Na 0.004 0.632 0.241
Na 0.628 0.632 0.741
Na 0.992 0.345 0.745
Na 0.020 0.678 0.578
Na 0.670 0.965 0.575
Na 0.295 0.965 0.075
Na 0.659 0.678 0.078
Na 0.686 0.012 0.911
Na 0.337 0.298 0.908
Na 0.961 0.298 0.408
Na 0.325 0.012 0.411
Na 0.964 0.973 0.490
Na 0.008 0.973 0.990
Na 0.631 0.306 0.824
Na 0.675 0.306 0.324
Na 0.298 0.640 0.157
Na 0.342 0.640 0.657
Ca 0.984 0.991 0.348
Ca 0.006 0.991 0.848
Ca 0.651 0.324 0.681
Ca 0.673 0.324 0.181
Ca 0.318 0.657 0.015
Ca 0.340 0.657 0.515
La 0.018 0.021 0.652
La 0.003 0.021 0.152
La 0.684 0.354 0.986
La 0.670 0.354 0.486
La 0.351 0.688 0.319
La 0.337 0.688 0.819
P 0.303 0.009 0.252
P 0.004 0.317 0.257
P 0.313 0.317 0.757
P 0.706 0.009 0.752
P 0.969 0.342 0.585
P 0.671 0.650 0.590
P 0.980 0.650 0.090
P 0.373 0.342 0.085
P 0.636 0.675 0.919
P 0.337 0.984 0.924
P 0.646 0.984 0.424
P 0.039 0.675 0.419
S 0.695 0.682 0.248
S 0.987 0.682 0.748
S 0.362 0.016 0.581
S 0.654 0.016 0.081
S 0.028 0.349 0.914
S 0.321 0.349 0.414
O 0.212 0.016 0.304
O 0.794 0.779 0.295
O 0.992 0.225 0.312
O 0.233 0.225 0.812
O 0.985 0.779 0.795
O 0.804 0.016 0.804
O 0.795 0.994 0.699
O 0.208 0.221 0.706
O 0.009 0.773 0.694
O 0.764 0.773 0.194
O 0.013 0.221 0.206
O 0.200 0.994 0.199
O 0.878 0.349 0.638
O 0.460 0.112 0.628
O 0.659 0.558 0.645
O 0.899 0.558 0.145
O 0.652 0.112 0.128
O 0.471 0.349 0.138
O 0.461 0.327 0.032
O 0.875 0.554 0.040
O 0.676 0.107 0.027
O 0.431 0.107 0.527
O 0.679 0.554 0.540
O 0.866 0.327 0.532
O 0.545 0.683 0.971
O 0.127 0.446 0.961
O 0.325 0.891 0.979
O 0.566 0.891 0.479
O 0.319 0.446 0.461
O 0.138 0.683 0.471
O 0.128 0.661 0.366
O 0.541 0.887 0.373
O 0.343 0.440 0.361
O 0.098 0.440 0.861
O 0.346 0.887 0.873
O 0.533 0.661 0.866
O 0.029 0.833 0.415
O 0.822 0.015 0.419
O 0.166 0.190 0.415
O 0.024 0.190 0.915
O 0.193 0.015 0.919
O 0.804 0.833 0.915
O 0.983 0.185 0.586
O 0.190 0.980 0.585
O 0.833 0.819 0.586
O 0.986 0.819 0.086
O 0.790 0.980 0.085
O 0.202 0.185 0.086
O 0.696 0.166 0.748
O 0.488 0.348 0.752
O 0.833 0.524 0.748
O 0.691 0.524 0.248
O 0.860 0.348 0.252
O 0.470 0.166 0.248
O 0.650 0.518 0.919
O 0.857 0.314 0.919
O 0.500 0.153 0.920
O 0.653 0.153 0.420
O 0.457 0.314 0.419
O 0.869 0.518 0.419
O 0.363 0.500 0.082
O 0.155 0.682 0.085
O 0.500 0.857 0.082
O 0.357 0.857 0.582
O 0.526 0.682 0.585
O 0.137 0.500 0.582
O 0.316 0.852 0.253
O 0.523 0.647 0.252
O 0.167 0.486 0.253
O 0.319 0.486 0.753
O 0.124 0.647 0.752
O 0.535 0.852 0.753
CELL_PARAMETERS angstrom
-1.804 0.526 -9.338
-4.291 -6.603 5.315
-18.346 14.759 4.375

> Number 2 is which compound?

Na3CaLaP2SO12